Below is a relaxed CeIn2Ru crystal, with properties calculated at the PBE level.

Properties
- Crystal system: orthorhombic
- E_tot: -5.6100 eV per atom

Geometry as POSCAR:
```
CeIn2Ru
1.0
4.7953 0.0000 0.0000
-2.3976 4.9365 0.0000
0.0000 0.0000 7.7429
Ce In Ru
2 4 2
direct
0.5570 0.1139 0.7500
0.4430 0.8861 0.2500
0.8511 0.7021 0.9536
0.1489 0.2979 0.4536
0.8511 0.7021 0.5464
0.1489 0.2979 0.0464
0.3260 0.6520 0.7500
0.6740 0.3480 0.2500
```